Record 1
{
  "formula": "MoCl3",
  "functional": "PBE",
  "state": "relaxed",
  "lattice": [[3.132, -5.016, 0.000], [3.132, 5.016, 0.000], [-0.071, 0.000, 13.103]],
  "species": ["Mo", "Mo", "Mo", "Mo", "Cl", "Cl", "Cl", "Cl", "Cl", "Cl", "Cl", "Cl", "Cl", "Cl", "Cl", "Cl"],
  "frac_coords": [[0.021, 0.979, 0.750], [0.313, 0.687, 0.750], [0.687, 0.313, 0.250], [0.979, 0.021, 0.250], [0.006, 0.332, 0.649], [0.019, 0.685, 0.876], [0.315, 0.981, 0.624], [0.327, 0.334, 0.851], [0.332, 0.006, 0.149], [0.334, 0.327, 0.351], [0.666, 0.673, 0.649], [0.668, 0.994, 0.851], [0.673, 0.666, 0.149], [0.685, 0.019, 0.376], [0.981, 0.315, 0.124], [0.994, 0.668, 0.351]],
  "final_energy_ev_per_cell": -78.813,
  "m_tot_mub_per_atom": 0.50,
  "vol_a3_per_atom": 25.7,
  "formation_enthalpy_0k_mev_per_atom": -1289,
  "de_polymorph_ev_per_atom": 0.001
}

=====

Record 2
{
  "formula": "MgInSe3",
  "functional": "PBE",
  "state": "relaxed",
  "lattice": [[6.590, 0.000, 0.000], [-3.295, 5.707, 0.000], [0.000, 0.000, 30.146]],
  "species": ["Mg", "Mg", "Mg", "Mg", "Mg", "Mg", "In", "In", "In", "In", "In", "In", "Se", "Se", "Se", "Se", "Se", "Se", "Se", "Se", "Se", "Se", "Se", "Se", "Se", "Se", "Se", "Se", "Se", "Se"],
  "frac_coords": [[0.000, 0.000, 0.167], [0.000, 0.000, 0.833], [0.667, 0.333, 0.500], [0.667, 0.333, 0.167], [0.333, 0.667, 0.833], [0.333, 0.667, 0.500], [0.000, 0.000, 0.440], [0.000, 0.000, 0.560], [0.667, 0.333, 0.773], [0.667, 0.333, 0.894], [0.333, 0.667, 0.106], [0.333, 0.667, 0.227], [0.000, 0.387, 0.561], [0.000, 0.613, 0.439], [0.613, 0.614, 0.561], [0.387, 0.386, 0.439], [0.386, 0.000, 0.561], [0.614, 0.000, 0.439], [0.667, 0.720, 0.894], [0.666, 0.947, 0.772], [0.280, 0.947, 0.894], [0.053, 0.720, 0.772], [0.053, 0.333, 0.894], [0.280, 0.334, 0.772], [0.334, 0.053, 0.228], [0.333, 0.280, 0.106], [0.947, 0.280, 0.228], [0.720, 0.053, 0.106], [0.720, 0.666, 0.228], [0.947, 0.667, 0.106]],
  "final_energy_ev_per_cell": -103.701,
  "m_tot_mub_per_atom": 0.03,
  "vol_a3_per_atom": 37.8,
  "formation_enthalpy_0k_mev_per_atom": -772,
  "de_polymorph_ev_per_atom": 0.011
}

=====

Record 3
{
  "formula": "MgTi4Cd2O10",
  "functional": "PBE",
  "state": "relaxed",
  "lattice": [[5.398, -1.805, 0.000], [5.398, 1.805, 0.000], [-1.987, 0.000, 11.907]],
  "species": ["Mg", "Ti", "Ti", "Ti", "Ti", "Cd", "Cd", "O", "O", "O", "O", "O", "O", "O", "O", "O", "O"],
  "frac_coords": [[0.000, 0.000, 0.000], [0.328, 0.328, 0.100], [0.372, 0.372, 0.456], [0.628, 0.628, 0.544], [0.672, 0.672, 0.900], [0.353, 0.353, 0.734], [0.647, 0.647, 0.266], [0.177, 0.177, 0.968], [0.196, 0.196, 0.563], [0.264, 0.264, 0.230], [0.472, 0.472, 0.602], [0.496, 0.496, 0.890], [0.504, 0.504, 0.110], [0.528, 0.528, 0.398], [0.736, 0.736, 0.770], [0.804, 0.804, 0.437], [0.823, 0.823, 0.032]],
  "final_energy_ev_per_cell": -125.436,
  "m_tot_mub_per_atom": 0.11,
  "vol_a3_per_atom": 13.6,
  "formation_enthalpy_0k_mev_per_atom": -2812,
  "de_polymorph_ev_per_atom": 0.000
}

=====

Record 4
{
  "formula": "La2MgNi2H8",
  "functional": "PBE",
  "state": "relaxed",
  "lattice": [[11.756, 0.000, 0.000], [0.000, 7.747, 0.000], [-0.589, 0.000, 11.915]],
  "species": ["La", "La", "La", "La", "La", "La", "La", "La", "La", "La", "La", "La", "La", "La", "La", "La", "Mg", "Mg", "Mg", "Mg", "Mg", "Mg", "Mg", "Mg", "Ni", "Ni", "Ni", "Ni", "Ni", "Ni", "Ni", "Ni", "Ni", "Ni", "Ni", "Ni", "Ni", "Ni", "Ni", "Ni", "H", "H", "H", "H", "H", "H", "H", "H", "H", "H", "H", "H", "H", "H", "H", "H", "H", "H", "H", "H", "H", "H", "H", "H", "H", "H", "H", "H", "H", "H", "H", "H", "H", "H", "H", "H", "H", "H", "H", "H", "H", "H", "H", "H", "H", "H", "H", "H", "H", "H", "H", "H", "H", "H", "H", "H", "H", "H", "H", "H", "H", "H", "H", "H"],
  "frac_coords": [[0.100, 0.173, 0.413], [0.100, 0.327, 0.913], [0.161, 0.680, 0.342], [0.161, 0.820, 0.842], [0.334, 0.163, 0.682], [0.334, 0.337, 0.182], [0.397, 0.655, 0.611], [0.397, 0.845, 0.111], [0.603, 0.155, 0.889], [0.603, 0.345, 0.389], [0.666, 0.663, 0.818], [0.666, 0.837, 0.318], [0.839, 0.180, 0.158], [0.839, 0.320, 0.658], [0.900, 0.673, 0.087], [0.900, 0.827, 0.587], [0.112, 0.002, 0.119], [0.112, 0.498, 0.619], [0.397, 0.003, 0.413], [0.397, 0.497, 0.913], [0.603, 0.503, 0.087], [0.603, 0.997, 0.587], [0.888, 0.502, 0.381], [0.888, 0.998, 0.881], [0.072, 0.130, 0.681], [0.072, 0.370, 0.181], [0.177, 0.644, 0.080], [0.177, 0.856, 0.580], [0.350, 0.149, 0.954], [0.350, 0.351, 0.454], [0.443, 0.645, 0.351], [0.443, 0.855, 0.851], [0.557, 0.145, 0.149], [0.557, 0.355, 0.649], [0.650, 0.649, 0.546], [0.650, 0.851, 0.046], [0.823, 0.144, 0.420], [0.823, 0.356, 0.920], [0.928, 0.630, 0.819], [0.928, 0.870, 0.319], [0.034, 0.222, 0.098], [0.034, 0.278, 0.598], [0.047, 0.568, 0.771], [0.047, 0.932, 0.271], [0.070, 0.035, 0.938], [0.070, 0.465, 0.438], [0.073, 0.505, 0.078], [0.073, 0.995, 0.578], [0.092, 0.715, 0.537], [0.092, 0.785, 0.037], [0.164, 0.124, 0.780], [0.164, 0.376, 0.280], [0.235, 0.575, 0.967], [0.235, 0.925, 0.467], [0.249, 0.016, 0.234], [0.249, 0.484, 0.734], [0.250, 0.129, 0.040], [0.250, 0.371, 0.540], [0.270, 0.636, 0.179], [0.270, 0.864, 0.679], [0.313, 0.211, 0.368], [0.313, 0.289, 0.868], [0.342, 0.553, 0.417], [0.342, 0.947, 0.917], [0.371, 0.693, 0.816], [0.371, 0.807, 0.316], [0.436, 0.544, 0.073], [0.436, 0.956, 0.573], [0.459, 0.184, 0.044], [0.459, 0.316, 0.544], [0.478, 0.085, 0.247], [0.478, 0.415, 0.747], [0.522, 0.585, 0.253], [0.522, 0.915, 0.753], [0.541, 0.684, 0.456], [0.541, 0.816, 0.956], [0.564, 0.044, 0.427], [0.564, 0.456, 0.927], [0.629, 0.193, 0.684], [0.629, 0.307, 0.184], [0.658, 0.053, 0.083], [0.658, 0.447, 0.583], [0.687, 0.711, 0.132], [0.687, 0.789, 0.632], [0.730, 0.136, 0.321], [0.730, 0.364, 0.821], [0.750, 0.629, 0.460], [0.750, 0.871, 0.960], [0.751, 0.516, 0.266], [0.751, 0.984, 0.766], [0.765, 0.075, 0.533], [0.765, 0.425, 0.033], [0.836, 0.624, 0.720], [0.836, 0.876, 0.220], [0.908, 0.215, 0.963], [0.908, 0.285, 0.463], [0.927, 0.005, 0.422], [0.927, 0.495, 0.922], [0.930, 0.535, 0.562], [0.930, 0.965, 0.062], [0.953, 0.068, 0.729], [0.953, 0.432, 0.229], [0.966, 0.722, 0.402], [0.966, 0.778, 0.902]],
  "final_energy_ev_per_cell": -446.860,
  "m_tot_mub_per_atom": 0.00,
  "vol_a3_per_atom": 10.4,
  "formation_enthalpy_0k_mev_per_atom": -547
}

=====

Record 5
{
  "formula": "Dy14Ti10O41",
  "functional": "PBE",
  "state": "relaxed",
  "lattice": [[6.301, -3.654, 0.000], [6.301, 3.654, 0.000], [-0.229, 0.000, 17.673]],
  "species": ["Dy", "Dy", "Dy", "Dy", "Dy", "Dy", "Dy", "Dy", "Dy", "Dy", "Dy", "Dy", "Dy", "Dy", "Ti", "Ti", "Ti", "Ti", "Ti", "Ti", "Ti", "Ti", "Ti", "Ti", "O", "O", "O", "O", "O", "O", "O", "O", "O", "O", "O", "O", "O", "O", "O", "O", "O", "O", "O", "O", "O", "O", "O", "O", "O", "O", "O", "O", "O", "O", "O", "O", "O", "O", "O", "O", "O", "O", "O", "O", "O"],
  "frac_coords": [[0.000, 0.000, 0.000], [0.019, 0.504, 0.011], [0.161, 0.161, 0.170], [0.179, 0.179, 0.648], [0.179, 0.669, 0.668], [0.335, 0.335, 0.330], [0.335, 0.836, 0.334], [0.350, 0.350, 0.836], [0.502, 0.502, 0.500], [0.504, 0.019, 0.011], [0.663, 0.663, 0.675], [0.669, 0.179, 0.668], [0.813, 0.813, 0.844], [0.836, 0.335, 0.334], [0.170, 0.670, 0.170], [0.324, 0.853, 0.832], [0.498, 0.498, 0.999], [0.515, 0.995, 0.499], [0.669, 0.669, 0.168], [0.670, 0.170, 0.170], [0.837, 0.837, 0.334], [0.853, 0.324, 0.832], [0.995, 0.515, 0.499], [0.999, 0.999, 0.501], [0.010, 0.450, 0.872], [0.054, 0.054, 0.874], [0.105, 0.699, 0.279], [0.127, 0.691, 0.513], [0.142, 0.696, 0.794], [0.162, 0.162, 0.045], [0.167, 0.167, 0.294], [0.212, 0.657, 0.061], [0.293, 0.293, 0.494], [0.295, 0.918, 0.488], [0.318, 0.892, 0.725], [0.330, 0.330, 0.711], [0.348, 0.348, 0.965], [0.350, 0.719, 0.932], [0.365, 0.365, 0.197], [0.366, 0.771, 0.198], [0.450, 0.010, 0.872], [0.502, 0.502, 0.374], [0.510, 0.510, 0.624], [0.535, 0.979, 0.618], [0.548, 0.981, 0.388], [0.558, 0.969, 0.143], [0.631, 0.631, 0.058], [0.631, 0.631, 0.806], [0.657, 0.212, 0.061], [0.691, 0.127, 0.513], [0.691, 0.691, 0.505], [0.696, 0.142, 0.794], [0.699, 0.105, 0.279], [0.700, 0.700, 0.278], [0.719, 0.350, 0.932], [0.771, 0.366, 0.198], [0.831, 0.831, 0.965], [0.892, 0.318, 0.725], [0.918, 0.295, 0.488], [0.969, 0.558, 0.143], [0.971, 0.971, 0.150], [0.977, 0.977, 0.389], [0.979, 0.535, 0.618], [0.981, 0.548, 0.388], [0.999, 0.999, 0.615]],
  "final_energy_ev_per_cell": -561.970,
  "m_tot_mub_per_atom": 0.00,
  "vol_a3_per_atom": 12.5,
  "formation_enthalpy_0k_mev_per_atom": -3751
}

=====

Record 6
{
  "formula": "CsMg14Ni",
  "functional": "PBE",
  "state": "relaxed",
  "lattice": [[10.713, 0.000, 0.000], [0.000, 3.152, 5.779], [0.000, -3.152, 5.779]],
  "species": ["Cs", "Mg", "Mg", "Mg", "Mg", "Mg", "Mg", "Mg", "Mg", "Mg", "Mg", "Mg", "Mg", "Mg", "Mg", "Ni"],
  "frac_coords": [[0.000, 0.000, 0.000], [0.000, 0.004, 0.496], [0.000, 0.496, 0.004], [0.213, 0.614, 0.614], [0.259, 0.130, 0.616], [0.259, 0.616, 0.130], [0.280, 0.133, 0.133], [0.500, 0.469, 0.469], [0.500, 0.473, 0.958], [0.500, 0.958, 0.473], [0.500, 0.960, 0.960], [0.720, 0.133, 0.133], [0.741, 0.130, 0.616], [0.741, 0.616, 0.130], [0.787, 0.614, 0.614], [0.000, 0.437, 0.437]],
  "final_energy_ev_per_cell": -25.989,
  "m_tot_mub_per_atom": 0.00,
  "vol_a3_per_atom": 24.4,
  "formation_enthalpy_0k_mev_per_atom": 193,
  "de_polymorph_ev_per_atom": 0.000
}